DFT (meta-GGA r2SCAN) results for crystalline TiGeTe6 at its relaxed geometry.

## Properties
For the spin magnetization, the calculation gives 0.00 Bohr magnetons per cell. The total energy is -22.749 eV/atom. The calculated formation energy comes out at -0.335 eV per atom. The symmetry is P-1, No. 2.

Cell and atoms, written as CIF:
```
data_TiGeTe6
_cell_length_a 3.935
_cell_length_b 7.634
_cell_length_c 17.606
_cell_angle_alpha 97.39
_cell_angle_beta 96.41
_cell_angle_gamma 104.91
_space_group_name_H-M_alt 'P 1'
_space_group_IT_number 1
loop_
_space_group_symop_operation_xyz
'x,y,z'
loop_
_atom_site_label
_atom_site_type_symbol
_atom_site_fract_x
_atom_site_fract_y
_atom_site_fract_z
Ti1 Ti 0.026 0.291 0.261
Ti2 Ti 0.974 0.709 0.739
Ge1 Ge 0.187 0.466 0.407
Ge2 Ge 0.813 0.534 0.593
Te1 Te 0.026 0.432 0.119
Te2 Te 0.165 0.294 0.535
Te3 Te 0.333 0.423 0.744
Te4 Te 0.367 0.211 0.022
Te5 Te 0.368 0.053 0.182
Te6 Te 0.478 0.110 0.345
Te7 Te 0.522 0.890 0.655
Te8 Te 0.632 0.947 0.818
Te9 Te 0.633 0.789 0.978
Te10 Te 0.667 0.577 0.256
Te11 Te 0.835 0.706 0.465
Te12 Te 0.974 0.568 0.881
```